Entry 1:
This record from Materials Project describes a geometry-optimized LiTi2O4 structure. The functional is GGA-PBE.

Summary:
Volume in Å³ per atom: 10.6
Calculated formation energy in eV per formula unit: -22.2
Total energy after the MP2020 corrections in eV/atom: -8.53

Cell: 5.8688 6.0068 8.4223 Å, 90.00 90.00 90.00°
Space group Imma (No. 74)
Symmetry-distinct sites (fractional):
Li 0.0000 0.0000 0.0000 x4
Ti 0.0000 0.2500 0.3814 x4
Ti 0.2500 0.2500 0.7500 x4
O 0.0000 0.0067 0.7487 x8
O 0.2471 0.2500 0.5139 x8

---

Entry 2:
This record from Materials Project describes a geometry-optimized Cu4Bi4S9 structure. The functional is GGA-PBE.

Summary:
Volume in Å³ per atom: 21.6
Calculated formation energy in eV per formula unit: -9.1
Total energy after the MP2020 corrections in eV/atom: -4.60

Cell: 31.9658 3.9492 11.6442 Å, 90.00 90.00 90.00°
Space group Pnma (No. 62)
Symmetry-distinct sites (fractional):
Cu 0.0161 0.2500 0.0944 x4
Cu 0.1358 0.2500 0.6183 x4
Cu 0.1932 0.7500 0.6636 x4
Cu 0.1955 0.2500 0.0733 x4
Bi 0.0283 0.2500 0.6304 x4
Bi 0.0892 0.7500 0.9033 x4
Bi 0.1083 0.7500 0.2714 x4
Bi 0.2207 0.2500 0.3564 x4
S 0.0204 0.2500 0.8702 x4
S 0.0302 0.2500 0.3834 x4
S 0.0866 0.2500 0.1119 x4
S 0.0975 0.7500 0.6731 x4
S 0.1428 0.2500 0.4242 x4
S 0.1533 0.2500 0.9107 x4
S 0.1844 0.7500 0.1807 x4
S 0.1898 0.2500 0.7560 x4
S 0.2365 0.7500 0.5128 x4

---

Entry 3:
This record from Materials Project describes a geometry-optimized La5Ti6S3Cl3O15 structure. The functional is GGA-PBE.

Summary:
Volume in Å³ per atom: 15.3
Calculated formation energy in eV per formula unit: -105.4
Total energy after the MP2020 corrections in eV/atom: -8.42

Cell: 17.6986 12.4910 12.4737 Å, 90.00 134.71 90.00°
Space group C2/m (No. 12)
Symmetry-distinct sites (fractional):
La 0.0000 0.1589 0.0000 x4
La 0.0059 0.5000 0.6745 x4
La 0.1518 0.0000 0.6568 x4
La 0.2500 0.2500 0.0000 x4
La 0.2500 0.2500 0.5000 x4
Ti 0.0004 0.1457 0.3002 x8
Ti 0.1353 0.3032 0.6336 x8
Ti 0.1955 0.0000 0.3271 x4
Ti 0.2009 0.0000 0.0489 x4
S 0.0012 0.3149 0.2060 x8
S 0.2061 0.5000 0.0219 x4
Cl 0.1807 0.2957 0.1816 x8
Cl 0.2046 0.5000 0.3825 x4
O 0.9997 0.0000 0.3694 x4
O 0.0000 0.3711 0.5000 x4
O 0.1085 0.1127 0.9252 x8
O 0.1128 0.1110 0.2987 x8
O 0.1137 0.1833 0.7214 x8
O 0.1159 0.1830 0.5073 x8
O 0.1273 0.0000 0.1266 x4
O 0.1859 0.3892 0.5725 x8
O 0.1867 0.3875 0.7955 x8

---

Entry 4:
This record from Materials Project describes a geometry-optimized AlNi12Pt3 structure. The functional is GGA-PBE.

Summary:
Volume in Å³ per atom: 11.9
Calculated formation energy in eV per formula unit: -2.4

Cell: 3.6218 3.6218 14.5094 Å, 90.00 90.00 90.00°
Space group P4/mmm (No. 123)
Symmetry-distinct sites (fractional):
Al 0.0000 0.0000 0.0000 x1
Ni 0.0000 0.5000 0.1219 x4
Ni 0.0000 0.5000 0.3752 x4
Ni 0.5000 0.5000 0.0000 x1
Ni 0.5000 0.5000 0.2488 x2
Ni 0.5000 0.5000 0.5000 x1
Pt 0.0000 0.0000 0.2497 x2
Pt 0.0000 0.0000 0.5000 x1

---

Entry 5:
This record from Materials Project describes a geometry-optimized La4HoC10 structure. The functional is GGA-PBE.

Summary:
Volume in Å³ per atom: 16.4
Calculated formation energy in eV per formula unit: -2.0

Cell: 5.5579 6.5005 27.2484 Å, 90.00 90.00 90.00°
Space group Fmmm (No. 69)
Symmetry-distinct sites (fractional):
La 0.0000 0.0000 0.0989 x8
La 0.0000 0.0000 0.3004 x8
Ho 0.0000 0.0000 0.5000 x4
C 0.0000 0.1004 0.0000 x8
C 0.0000 0.0999 0.1999 x16
C 0.0000 0.0997 0.4048 x16

---

Entry 6:
This record from Materials Project describes a geometry-optimized Ho2MgBi4O12 structure. The functional is GGA-PBE.

Summary:
Volume in Å³ per atom: 15.3
Calculated formation energy in eV per formula unit: -42.0
Total energy after the MP2020 corrections in eV/atom: -6.72

Cell: 5.6860 6.1101 8.3605 Å, 93.06 90.98 90.72°
Space group P1 (No. 1)
Symmetry-distinct sites (fractional):
Ho 0.0000 0.0000 0.0000 x1
Ho 0.4825 0.6800 0.5158 x1
Mg 0.5093 0.6432 0.9622 x1
Bi 0.0093 0.5570 0.7408 x1
Bi 0.0197 0.5721 0.2488 x1
Bi 0.5180 0.1153 0.7624 x1
Bi 0.5202 0.1145 0.2711 x1
O 0.1647 0.6446 0.0089 x1
O 0.2379 0.8469 0.3293 x1
O 0.2428 0.8722 0.7189 x1
O 0.3336 0.4193 0.3455 x1
O 0.3756 0.1233 0.0018 x1
O 0.4152 0.4494 0.7321 x1
O 0.6158 0.0330 0.5243 x1
O 0.7289 0.8121 0.8239 x1
O 0.7390 0.7655 0.1480 x1
O 0.8399 0.2611 0.8503 x1
O 0.8434 0.5685 0.4754 x1
O 0.8852 0.2520 0.1864 x1

---

Entry 7:
This record from Materials Project describes a geometry-optimized DyYAg2 structure. The functional is GGA-PBE.

Summary:
Volume in Å³ per atom: 24.3
Calculated formation energy in eV per formula unit: -1.3

Cell: 7.2966 7.2966 7.2966 Å, 90.00 90.00 90.00°
Space group Fm-3m (No. 225)
Symmetry-distinct sites (fractional):
Dy 0.0000 0.0000 0.0000 x4
Y 0.0000 0.0000 0.5000 x4
Ag 0.2500 0.2500 0.2500 x8

---

Entry 8:
This record from Materials Project describes a geometry-optimized GaS structure. The functional is GGA-PBE.

Summary:
Volume in Å³ per atom: 24.8
Calculated formation energy in eV per formula unit: -1.8
Total energy after the MP2020 corrections in eV/atom: -4.49

Cell: 3.6269 3.6269 17.4253 Å, 90.00 90.00 120.00°
Space group P6_3/mmc (No. 194)
Symmetry-distinct sites (fractional):
Ga 0.3333 0.6667 0.1791 x4
S 0.3333 0.6667 0.6168 x4

---

Entry 9:
This record from Materials Project describes a geometry-optimized UTeO5 structure. The functional is GGA-PBE.

Summary:
Volume in Å³ per atom: 16.2
Calculated formation energy in eV per formula unit: -18.9
Total energy after the MP2020 corrections in eV/atom: -8.30

Cell: 5.5380 10.4175 7.8482 Å, 90.00 90.00 90.00°
Space group Pbcm (No. 57)
Symmetry-distinct sites (fractional):
U 0.0322 0.0154 0.2500 x4
Te 0.3588 0.2500 0.0000 x4
O 0.1445 0.1048 0.5269 x8
O 0.2369 0.6143 0.2500 x4
O 0.2669 0.2076 0.2500 x4
O 0.3031 0.5849 0.7500 x4

---

Entry 10:
This record from Materials Project describes a geometry-optimized KBa2Nb3O9 structure. The functional is GGA-PBE.

Summary:
Volume in Å³ per atom: 14.0
Calculated formation energy in eV per formula unit: -46.5
Total energy after the MP2020 corrections in eV/atom: -8.42

Cell: 5.8348 5.8348 7.1386 Å, 90.00 90.00 120.00°
Space group P-3m1 (No. 164)
Symmetry-distinct sites (fractional):
K 0.0000 0.0000 0.0000 x1
Ba 0.3333 0.6667 0.6703 x2
Nb 0.0000 0.0000 0.5000 x1
Nb 0.3333 0.6667 0.1634 x2
O 0.0000 0.5000 0.0000 x3
O 0.1681 0.3362 0.3359 x6

---

Entry 11:
This record from Materials Project describes a geometry-optimized Cd3H16C8N20F2 structure. The functional is GGA-PBE.

Summary:
Volume in Å³ per atom: 10.0
Calculated formation energy in eV per formula unit: -12.1
Total energy after the MP2020 corrections in eV/atom: -6.40

Cell: 9.3742 8.1888 13.3105 Å, 90.00 105.76 90.00°
Space group P2_1/c (No. 14)
Symmetry-distinct sites (fractional):
Cd 0.0000 0.0000 0.0000 x2
Cd 0.3440 0.1918 0.4865 x4
H 0.0282 0.5961 0.7235 x4
H 0.0380 0.6508 0.1020 x4
H 0.1341 0.5655 0.8498 x4
H 0.1566 0.0216 0.6254 x4
H 0.2401 0.0460 0.8853 x4
H 0.4032 0.5226 0.3648 x4
H 0.4356 0.6924 0.6678 x4
H 0.4716 0.6218 0.7911 x4
C 0.1897 0.0768 0.2420 x4
C 0.2160 0.6582 0.0389 x4
C 0.3120 0.6664 0.4577 x4
C 0.3666 0.2377 0.2372 x4
N 0.0931 0.5179 0.7773 x4
N 0.1281 0.5886 0.0917 x4
N 0.1727 0.1104 0.1414 x4
N 0.1941 0.6883 0.4975 x4
N 0.2892 0.2156 0.1378 x4
N 0.3104 0.1535 0.3059 x4
N 0.3353 0.5213 0.4132 x4
N 0.3372 0.5856 0.0228 x4
N 0.4012 0.7030 0.9698 x4
N 0.4845 0.1551 0.7680 x4
F 0.0984 0.1901 0.9009 x4

---

Entry 12:
This record from Materials Project describes a geometry-optimized Ba4As2O structure. The functional is GGA-PBE.

Summary:
Volume in Å³ per atom: 34.0
Calculated formation energy in eV per formula unit: -11.1
Total energy after the MP2020 corrections in eV/atom: -4.72

Cell: 5.2275 5.2275 17.4438 Å, 90.00 90.00 90.00°
Space group I4/mmm (No. 139)
Symmetry-distinct sites (fractional):
Ba 0.0000 0.0000 0.1759 x4
Ba 0.0000 0.5000 0.0000 x4
As 0.0000 0.0000 0.3643 x4
O 0.0000 0.0000 0.0000 x2

---

Q: Look up the volume of the ninth one.
A: 16.2 Å³ per atom

---

What did the eighth record say?
This record from Materials Project describes a geometry-optimized GaS structure. The functional is GGA-PBE.

Summary:
Volume in Å³ per atom: 24.8
Calculated formation energy in eV per formula unit: -1.8
Total energy after the MP2020 corrections in eV/atom: -4.49

Cell: 3.6269 3.6269 17.4253 Å, 90.00 90.00 120.00°
Space group P6_3/mmc (No. 194)
Symmetry-distinct sites (fractional):
Ga 0.3333 0.6667 0.1791 x4
S 0.3333 0.6667 0.6168 x4